A plane-wave DFT calculation with GGA+U was carried out for ZnCoBiO5 after structural relaxation.

Computed properties:
Its symmetry is Pbca, No. 61. As for the energy above the most stable polymorph in this dataset: 0.53 eV per formula unit. The total magnetic moment is 32.0 μB per cell.

a b c (Å): 5.653 15.076 10.764
angles (deg): 90.00 90.00 90.00
Element x y z (fractional)
1 Zn 0.079 0.026 0.142
2 Zn 0.079 0.474 0.642
3 Zn 0.421 0.526 0.142
4 Zn 0.421 0.974 0.642
5 Zn 0.579 0.026 0.358
6 Zn 0.579 0.474 0.858
7 Zn 0.921 0.526 0.358
8 Zn 0.921 0.974 0.858
9 Co 0.079 0.595 0.889
10 Co 0.079 0.905 0.389
11 Co 0.421 0.095 0.889
12 Co 0.421 0.405 0.389
13 Co 0.579 0.595 0.611
14 Co 0.579 0.905 0.111
15 Co 0.921 0.095 0.611
16 Co 0.921 0.405 0.111
17 Bi 0.029 0.726 0.157
18 Bi 0.029 0.774 0.657
19 Bi 0.471 0.226 0.157
20 Bi 0.471 0.274 0.657
21 Bi 0.529 0.726 0.343
22 Bi 0.529 0.774 0.843
23 Bi 0.971 0.226 0.343
24 Bi 0.971 0.274 0.843
25 O 0.086 0.016 0.697
26 O 0.086 0.484 0.197
27 O 0.109 0.153 0.507
28 O 0.109 0.347 0.007
29 O 0.143 0.152 0.198
30 O 0.143 0.348 0.698
31 O 0.167 0.047 0.957
32 O 0.167 0.453 0.457
33 O 0.205 0.686 0.797
34 O 0.205 0.814 0.297
35 O 0.295 0.186 0.797
36 O 0.295 0.314 0.297
37 O 0.333 0.547 0.957
38 O 0.333 0.953 0.457
39 O 0.357 0.652 0.198
40 O 0.357 0.848 0.698
41 O 0.391 0.653 0.507
42 O 0.391 0.847 0.007
43 O 0.414 0.516 0.697
44 O 0.414 0.984 0.197
45 O 0.586 0.016 0.803
46 O 0.586 0.484 0.303
47 O 0.609 0.153 0.993
48 O 0.609 0.347 0.493
49 O 0.643 0.152 0.302
50 O 0.643 0.348 0.802
51 O 0.667 0.047 0.543
52 O 0.667 0.453 0.043
53 O 0.705 0.686 0.703
54 O 0.705 0.814 0.203
55 O 0.795 0.186 0.703
56 O 0.795 0.314 0.203
57 O 0.833 0.547 0.543
58 O 0.833 0.953 0.043
59 O 0.857 0.652 0.302
60 O 0.857 0.848 0.802
61 O 0.891 0.653 0.993
62 O 0.891 0.847 0.493
63 O 0.914 0.516 0.803
64 O 0.914 0.984 0.303

A plane-wave DFT calculation with GGA+U was carried out for K4MgFe3P5O20 after structural relaxation.

Computed properties:
Its symmetry is Cc, No. 9.

a b c (Å): 9.860 9.860 9.664
angles (deg): 90.12 90.12 89.75
Element x y z (fractional)
1 K 0.049 0.951 0.500
2 K 0.213 0.454 0.927
3 K 0.310 0.552 0.422
4 K 0.454 0.213 0.427
5 K 0.552 0.310 0.922
6 K 0.713 0.813 0.505
7 K 0.813 0.713 0.005
8 K 0.951 0.049 0.000
9 Mg 0.187 0.808 0.174
10 Mg 0.808 0.187 0.674
11 Fe 0.074 0.308 0.251
12 Fe 0.308 0.074 0.751
13 Fe 0.453 0.689 0.752
14 Fe 0.570 0.954 0.174
15 Fe 0.689 0.453 0.252
16 Fe 0.954 0.570 0.674
17 P 0.127 0.297 0.597
18 P 0.135 0.798 0.827
19 P 0.297 0.127 0.097
20 P 0.380 0.881 0.463
21 P 0.462 0.635 0.098
22 P 0.626 0.961 0.828
23 P 0.635 0.462 0.598
24 P 0.798 0.135 0.327
25 P 0.881 0.380 0.963
26 P 0.961 0.626 0.328
27 O 0.001 0.328 0.055
28 O 0.006 0.210 0.635
29 O 0.007 0.751 0.248
30 O 0.010 0.748 0.742
31 O 0.048 0.499 0.290
32 O 0.099 0.789 0.980
33 O 0.105 0.449 0.639
34 O 0.160 0.949 0.785
35 O 0.164 0.290 0.441
36 O 0.210 0.006 0.135
37 O 0.251 0.258 0.177
38 O 0.258 0.251 0.677
39 O 0.261 0.710 0.788
40 O 0.263 0.826 0.375
41 O 0.290 0.164 0.941
42 O 0.313 0.655 0.138
43 O 0.328 0.001 0.555
44 O 0.439 0.766 0.557
45 O 0.449 0.105 0.139
46 O 0.475 0.600 0.942
47 O 0.498 0.936 0.371
48 O 0.499 0.048 0.790
49 O 0.507 0.516 0.677
50 O 0.516 0.507 0.177
51 O 0.551 0.760 0.137
52 O 0.600 0.475 0.442
53 O 0.601 0.809 0.791
54 O 0.655 0.313 0.638
55 O 0.657 0.971 0.985
56 O 0.710 0.261 0.288
57 O 0.748 0.010 0.242
58 O 0.751 0.007 0.748
59 O 0.760 0.551 0.637
60 O 0.766 0.439 0.057
61 O 0.789 0.099 0.480
62 O 0.809 0.601 0.291
63 O 0.826 0.263 0.875
64 O 0.936 0.498 0.871
65 O 0.949 0.160 0.285
66 O 0.971 0.657 0.485

A plane-wave DFT calculation with GGA+U was carried out for Li7Co5O12 after structural relaxation.

Computed properties:
Its symmetry is P-1, No. 2. As for the energy above the most stable polymorph in this dataset: 1.48 eV per formula unit. The total magnetic moment is 22.0 μB per cell.

a b c (Å): 6.432 6.592 10.065
angles (deg): 81.66 83.51 83.59
Element x y z (fractional)
1 Li 0.000 0.001 0.250
2 Li 0.000 0.999 0.750
3 Li 0.086 0.418 0.621
4 Li 0.088 0.418 0.122
5 Li 0.242 0.241 0.369
6 Li 0.243 0.238 0.866
7 Li 0.417 0.082 0.621
8 Li 0.419 0.084 0.119
9 Li 0.581 0.916 0.881
10 Li 0.583 0.918 0.379
11 Li 0.757 0.762 0.134
12 Li 0.758 0.759 0.631
13 Li 0.912 0.582 0.878
14 Li 0.914 0.582 0.379
15 Co 0.162 0.839 0.498
16 Co 0.164 0.840 0.998
17 Co 0.324 0.677 0.251
18 Co 0.325 0.674 0.751
19 Co 0.500 0.500 0.000
20 Co 0.500 0.500 0.500
21 Co 0.675 0.326 0.249
22 Co 0.676 0.323 0.749
23 Co 0.836 0.160 0.002
24 Co 0.838 0.161 0.502
25 O 0.062 0.712 0.678
26 O 0.062 0.714 0.177
27 O 0.109 0.112 0.551
28 O 0.109 0.114 0.051
29 O 0.208 0.568 0.440
30 O 0.218 0.566 0.943
31 O 0.282 0.944 0.329
32 O 0.283 0.943 0.828
33 O 0.389 0.378 0.683
34 O 0.394 0.385 0.181
35 O 0.437 0.793 0.062
36 O 0.438 0.788 0.561
37 O 0.562 0.212 0.439
38 O 0.563 0.207 0.938
39 O 0.606 0.615 0.819
40 O 0.611 0.622 0.317
41 O 0.717 0.057 0.172
42 O 0.718 0.056 0.671
43 O 0.782 0.434 0.057
44 O 0.792 0.432 0.560
45 O 0.891 0.886 0.949
46 O 0.891 0.888 0.449
47 O 0.938 0.286 0.823
48 O 0.938 0.288 0.322

A plane-wave DFT calculation with GGA+U was carried out for LaMgMnFeO6 after structural relaxation.

Computed properties:
Its symmetry is Pc, No. 7. The total magnetic moment is 16.0 μB per cell.

a b c (Å): 5.339 5.480 9.308
angles (deg): 90.00 124.72 90.00
Element x y z (fractional)
1 La 0.000 0.216 0.000
2 La 0.000 0.784 0.500
3 Mg 0.466 0.305 0.500
4 Mg 0.466 0.695 0.000
5 Mn 0.241 0.252 0.749
6 Mn 0.241 0.748 0.249
7 Fe 0.743 0.250 0.252
8 Fe 0.743 0.750 0.752
9 O 0.027 0.477 0.801
10 O 0.027 0.523 0.301
11 O 0.111 0.046 0.307
12 O 0.111 0.954 0.807
13 O 0.412 0.483 0.195
14 O 0.412 0.517 0.695
15 O 0.484 0.055 0.692
16 O 0.484 0.945 0.192
17 O 0.562 0.294 0.994
18 O 0.562 0.706 0.494
19 O 0.870 0.230 0.505
20 O 0.870 0.770 0.005

A plane-wave DFT calculation with GGA+U was carried out for SrUMo4O16 after structural relaxation.

Computed properties:
Its symmetry is P2/c, No. 13. The total magnetic moment is 0.0 μB per cell.

a b c (Å): 8.642 6.842 14.454
angles (deg): 90.00 126.09 90.00
Element x y z (fractional)
1 Sr 0.000 0.196 0.250
2 Sr 0.000 0.804 0.750
3 U 0.500 0.197 0.250
4 U 0.500 0.803 0.750
5 Mo 0.203 0.335 0.906
6 Mo 0.203 0.665 0.406
7 Mo 0.298 0.335 0.596
8 Mo 0.298 0.665 0.096
9 Mo 0.702 0.335 0.904
10 Mo 0.702 0.665 0.404
11 Mo 0.797 0.335 0.594
12 Mo 0.797 0.665 0.094
13 O 0.000 0.428 0.750
14 O 0.000 0.572 0.250
15 O 0.100 0.344 0.598
16 O 0.100 0.656 0.098
17 O 0.142 0.088 0.881
18 O 0.142 0.912 0.381
19 O 0.191 0.358 0.441
20 O 0.191 0.642 0.941
21 O 0.293 0.201 0.254
22 O 0.293 0.799 0.754
23 O 0.316 0.350 0.069
24 O 0.316 0.650 0.569
25 O 0.372 0.083 0.630
26 O 0.372 0.917 0.130
27 O 0.402 0.349 0.903
28 O 0.402 0.651 0.403
29 O 0.500 0.443 0.750
30 O 0.500 0.557 0.250
31 O 0.598 0.349 0.597
32 O 0.598 0.651 0.097
33 O 0.628 0.083 0.870
34 O 0.628 0.917 0.370
35 O 0.684 0.350 0.431
36 O 0.684 0.650 0.931
37 O 0.707 0.201 0.246
38 O 0.707 0.799 0.746
39 O 0.809 0.358 0.059
40 O 0.809 0.642 0.559
41 O 0.858 0.088 0.619
42 O 0.858 0.912 0.119
43 O 0.900 0.344 0.902
44 O 0.900 0.656 0.402

A plane-wave DFT calculation with GGA+U was carried out for MgFe8O14F2 after structural relaxation.

Computed properties:
Its symmetry is P1, No. 1. As for the energy above the most stable polymorph in this dataset: 0.00 eV per formula unit. The total magnetic moment is 36.0 μB per cell.

a b c (Å): 5.676 7.374 7.703
angles (deg): 83.44 68.78 70.98
Element x y z (fractional)
1 Mg 0.000 0.000 0.000
2 Fe 0.157 0.368 0.638
3 Fe 0.178 0.832 0.606
4 Fe 0.427 0.132 0.881
5 Fe 0.451 0.599 0.853
6 Fe 0.562 0.865 0.151
7 Fe 0.572 0.388 0.181
8 Fe 0.847 0.127 0.403
9 Fe 0.869 0.625 0.402
10 O 0.076 0.253 0.879
11 O 0.232 0.454 0.385
12 O 0.234 0.580 0.724
13 O 0.242 0.044 0.128
14 O 0.332 0.862 0.797
15 O 0.468 0.357 0.975
16 O 0.514 0.781 0.401
17 O 0.516 0.199 0.623
18 O 0.544 0.634 0.061
19 O 0.678 0.117 0.221
20 O 0.744 0.958 0.890
21 O 0.793 0.396 0.312
22 O 0.801 0.520 0.659
23 O 0.949 0.855 0.463
24 F 0.085 0.127 0.549
25 F 0.968 0.736 0.126

A plane-wave DFT calculation with GGA+U was carried out for Li9Mn2Co5O16 after structural relaxation.

Computed properties:
Its symmetry is P1, No. 1. As for the energy above the most stable polymorph in this dataset: 2.56 eV per formula unit. The total magnetic moment is 12.0 μB per cell.

a b c (Å): 3.016 7.790 12.506
angles (deg): 89.50 89.77 82.15
Element x y z (fractional)
1 Li 0.000 0.000 0.000
2 Li 0.059 0.873 0.690
3 Li 0.121 0.748 0.381
4 Li 0.244 0.499 0.748
5 Li 0.370 0.249 0.131
6 Li 0.499 0.993 0.506
7 Li 0.616 0.754 0.875
8 Li 0.748 0.500 0.252
9 Li 0.873 0.249 0.631
10 Mn 0.554 0.873 0.191
11 Mn 0.809 0.374 0.938
12 Co 0.183 0.624 0.064
13 Co 0.308 0.377 0.443
14 Co 0.448 0.112 0.810
15 Co 0.679 0.635 0.569
16 Co 0.928 0.126 0.319
17 O 0.051 0.950 0.843
18 O 0.076 0.797 0.537
19 O 0.180 0.688 0.214
20 O 0.189 0.559 0.915
21 O 0.306 0.444 0.588
22 O 0.352 0.310 0.294
23 O 0.430 0.187 0.958
24 O 0.456 0.071 0.673
25 O 0.500 0.945 0.340
26 O 0.564 0.801 0.041
27 O 0.663 0.675 0.707
28 O 0.731 0.558 0.422
29 O 0.809 0.443 0.088
30 O 0.822 0.302 0.790
31 O 0.893 0.190 0.466
32 O 0.925 0.062 0.167

A plane-wave DFT calculation with GGA+U was carried out for CoPO4 after structural relaxation.

Computed properties:
Its symmetry is Pc, No. 7.

a b c (Å): 8.579 5.272 8.566
angles (deg): 90.00 105.91 90.00
Element x y z (fractional)
1 Co 0.000 0.194 0.000
2 Co 0.000 0.806 0.500
3 Co 0.499 0.306 0.644
4 Co 0.499 0.694 0.144
5 P 0.368 0.191 0.271
6 P 0.368 0.809 0.771
7 P 0.871 0.307 0.623
8 P 0.871 0.693 0.123
9 O 0.201 0.205 0.147
10 O 0.201 0.795 0.647
11 O 0.352 0.271 0.439
12 O 0.352 0.729 0.939
13 O 0.438 0.083 0.786
14 O 0.438 0.917 0.286
15 O 0.488 0.366 0.213
16 O 0.488 0.634 0.713
17 O 0.703 0.213 0.633
18 O 0.703 0.787 0.133
19 O 0.857 0.415 0.063
20 O 0.857 0.585 0.563
21 O 0.930 0.141 0.501
22 O 0.930 0.859 0.001
23 O 0.997 0.287 0.791
24 O 0.997 0.713 0.291

no.,formation enthalpy at 0 K (meV per atom),calculated volume (A^3/atom),corrected total energy (MP2020 scheme) (eV per cell)
1,-1265,14.3,-376.959
2,-2560,14.2,-483.924
3,-1701,8.7,-298.203
4,-2538,11.2,-158.476
5,-2439,15.7,-378.361
6,-1636,11.4,-183.363
7,-1784,9.1,-207.306
8,-2087,15.5,-179.343